Record 1
The following is a DFT calculation (PBE) of a relaxed structure of Na4Ca2Al2SiS5O24.

raw total energy = -6.286 eV per atom

```
114
Lattice="-7.3359 -2.8976 4.1562 0.2598 0.1919 -8.8813 8.2142 -21.0438 -0.1578" Properties=species:S:1:pos:R:3 pbc="T T T"
Na 4.0071 -10.7904 -0.0264
Na 0.1672 0.0685 -8.7378
Na 3.0618 -14.8524 -4.6353
Na -0.8286 -4.0533 -4.6097
Na 0.2874 -14.1978 -6.0249
Na -2.0912 -8.7963 -0.2495
Na -5.1925 -7.8016 -1.4979
Na 2.1031 -19.5231 -0.3698
Na -4.1828 -3.4892 -3.2293
Na 1.0359 -9.9313 0.9654
Na -1.0168 -18.7191 0.7931
Na 3.6501 -16.6492 -7.4034
Ca 3.2550 -22.6822 -0.3717
Ca -4.3463 -10.4015 4.0340
Ca -0.6968 -12.1859 -0.2891
Ca -3.4488 -5.4754 -0.1931
Ca 4.2739 -17.9623 -4.6613
Ca 0.2088 -7.3398 -4.5244
O -1.8049 -2.2747 -3.0329
O 0.8881 -1.9071 -7.5562
O 2.4035 -12.9945 -6.0266
O -2.0294 -11.1129 -5.3294
O -4.9884 -4.1521 -5.4124
O -0.5883 -9.1457 -5.5539
O 0.7322 -8.6381 -2.8310
O 0.3429 -4.7254 0.6321
O -3.3827 -4.6021 1.9076
O 0.0762 -5.7918 -6.2896
O 1.3302 -12.1408 0.5303
O 5.0513 -17.4676 -0.7290
O -0.2754 -19.5970 -3.1821
O -0.5846 -1.7738 -5.2917
O -5.6400 -6.9008 2.5094
O -4.2025 -6.2488 -3.8773
O -3.0187 -2.7866 -5.2102
O 4.0918 -16.5418 -2.8134
O 0.9694 -5.3874 -3.4908
O -4.8482 -2.6429 1.8315
O -0.6534 -13.1476 -2.2701
O 3.3915 -8.9152 -7.2592
O 4.1122 -21.8774 -4.0424
O -4.8028 -9.1830 2.2809
O 0.2146 -17.9344 -1.4672
O 4.2135 -20.7202 0.5926
O 1.5712 -14.8152 0.8474
O 2.2860 -9.5124 -1.1905
O 5.3840 -16.0912 -5.6433
O 6.8357 -20.6549 -3.5872
O 2.8914 -10.2392 -5.3493
O 6.3102 -18.2651 -3.6828
O -0.4385 -16.8598 3.3048
O 3.2709 -19.6027 -3.7563
O 1.5887 -10.9330 -3.0254
O 5.9018 -20.9749 -6.3568
O 2.7299 -16.8624 -0.8064
O 1.2612 -21.8432 0.5063
O -1.1480 -10.7552 1.4743
O -4.0716 -7.5319 0.7400
O 1.2408 -13.6549 -3.7194
O -0.0069 -10.2501 -1.2721
O -0.3808 -2.4535 -1.0722
O 0.3352 -11.4181 -5.4611
O -5.7089 -3.0928 -1.5964
O -2.7754 -11.3547 -1.0041
O 2.7825 -21.2032 -2.0903
O -2.3822 -15.3878 2.4363
O -2.6818 -1.7843 -0.8110
O -3.2236 -8.4848 -3.7582
O -1.8277 -6.4904 -4.0084
O 2.4558 -17.0091 -5.4840
O 7.2247 -19.2432 -1.6538
O 3.8046 -12.5187 -3.8597
O 5.8794 -14.5579 -7.3646
O 4.4240 -15.1151 -0.9595
O -0.8477 -14.8177 -3.9233
O 4.0360 -12.9094 -8.2466
O -1.8729 -13.6971 0.8789
O -1.1749 -15.9704 0.3393
O -1.3803 -6.4565 0.5134
O 6.6403 -19.4092 -8.0785
O 0.4209 -19.3703 3.0101
O 1.7410 -21.3969 -4.2938
O 0.6238 -15.2201 -1.9482
O -2.9619 -7.0251 -1.9218
O -5.4773 -5.6784 -1.0277
O 2.2603 -7.8653 -5.3956
O 0.9463 -17.5492 1.0896
O -2.1748 -4.0621 -1.5200
O 0.9125 -7.1049 0.7457
O 4.7757 -18.8196 -6.6493
Si 0.8015 -17.7656 2.7856
Si -6.4042 -4.5568 -1.7513
Si 2.2470 -13.2930 1.1744
S 4.0919 -16.4996 -1.3334
S -2.2430 -15.1126 0.9806
S 1.1502 -9.8301 -2.1059
S -0.8361 -18.4890 -2.3584
S 7.2513 -19.2803 -3.1685
S 0.0959 -14.2170 -2.9295
S -4.1882 -3.6405 2.6642
S 5.4371 -19.9454 -7.3450
S -0.0928 -6.0699 1.0976
S -0.8075 -10.5483 -5.9206
S 3.2888 -8.8507 -5.7676
S 3.0004 -21.0182 -3.5299
S -3.0431 -7.0645 -3.4078
S -5.2207 -7.9732 1.5713
S -1.7683 -2.6390 -1.5735
Al 2.0776 -11.7882 -4.6961
Al 0.1029 -20.5989 -4.9420
Al 0.8463 -16.1471 -0.1023
Al -2.0351 -1.0936 -4.6062
Al 1.1619 -3.1142 -0.0298
Al 5.5944 -13.5011 -8.9160
```


Record 2
The following is a DFT calculation (PBE) of a relaxed structure of Na3CaAl3Si3SO16.

raw total energy = -6.924 eV per atom
offset from the most stable computed form = 0.029 eV/atom

```
27
Lattice="-4.4314 4.5693 -4.5272 4.4388 -4.5734 -4.5388 -4.4513 -4.5928 -4.5316" Properties=species:S:1:pos:R:3 pbc="T T T"
Na -6.0867 -2.8861 -6.2340
Na -1.5737 -1.6992 -7.3720
Na -7.2005 -1.7522 -10.7326
O -0.4140 -6.0627 -6.0192
O -3.1856 0.4461 -5.8593
O -1.3143 -1.2940 -5.0516
O -5.1831 3.6773 -5.3785
O 0.5729 -3.2635 -5.8357
O -7.8647 -0.7815 -8.2035
O -3.6198 -3.5979 -5.3457
O -4.0552 -1.2946 -7.6874
O -0.8220 0.7976 -8.1296
O -1.4063 1.2607 -4.0646
O -1.3188 -3.9819 -7.8207
O -4.9901 1.2934 -7.6383
O -3.1626 -0.5918 -3.3586
O -3.0814 -5.8548 -8.5132
O -1.2847 -5.0571 -10.3261
O -3.1500 -3.3535 -9.5960
Al 0.0413 -2.2986 -4.5155
Al -4.5008 -2.3169 -9.0608
Al -0.0017 -4.5616 -6.8077
Ca 1.3926 -7.4157 -7.3612
S -4.4003 -4.5824 -4.5289
Si -4.4822 -0.0145 -6.7812
Si -2.2315 -0.0404 -4.5765
Si -2.2197 -4.5760 -9.0232
```